Record 1
Below is LiNiP2O7 after structural relaxation, with properties calculated at the GGA+U level.

Properties
total energy after the MP2020 corrections = -313.2 eV/cell
ΔE to the lowest computed polymorph = 0.0115 eV per atom
DFT total energy = -283.8 eV/cell
symmetry = P1

Cell lengths 6.470, 9.268, 10.461 Å; angles 114.62, 86.06, 106.76 degrees
Fractional positions:
Li (0.034, 0.165, 0.476)
Li (0.941, 0.930, 0.946)
Li (0.348, 0.936, 0.403)
Li (0.541, 0.500, 0.980)
Ni (0.633, 0.487, 0.251)
Ni (0.370, 0.503, 0.742)
Ni (0.712, 0.098, 0.218)
Ni (0.289, 0.892, 0.769)
P (0.880, 0.545, 0.704)
P (0.578, 0.301, 0.460)
P (0.420, 0.690, 0.531)
P (0.090, 0.193, 0.794)
P (0.114, 0.433, 0.297)
P (0.700, 0.189, 0.950)
P (0.302, 0.804, 0.043)
P (0.919, 0.809, 0.198)
O (0.374, 0.321, 0.539)
O (0.990, 0.122, 0.645)
O (0.956, 0.511, 0.266)
O (0.779, 0.457, 0.542)
O (0.302, 0.330, 0.821)
O (0.073, 0.712, 0.086)
O (0.570, 0.296, 0.309)
O (0.309, 0.451, 0.207)
O (0.046, 0.458, 0.708)
O (0.929, 0.278, 0.905)
O (0.402, 0.668, 0.950)
O (0.255, 0.903, 0.967)
O (0.745, 0.087, 0.023)
O (0.365, 0.847, 0.550)
O (0.562, 0.074, 0.813)
O (0.982, 0.728, 0.736)
O (0.206, 0.538, 0.459)
O (0.686, 0.519, 0.792)
O (0.710, 0.671, 0.186)
O (0.865, 0.917, 0.134)
O (0.041, 0.913, 0.341)
O (0.610, 0.332, 0.042)
O (0.613, 0.653, 0.447)
O (0.010, 0.259, 0.291)
O (0.431, 0.919, 0.184)
O (0.434, 0.698, 0.682)
O (0.112, 0.054, 0.832)
O (0.634, 0.140, 0.433)

=====

Record 2
Below is LiNiPO4 after structural relaxation, with properties calculated at the GGA+U level.

Properties
total energy after the MP2020 corrections = -587.4 eV/cell
ΔE to the lowest computed polymorph = 0.0722 eV per atom
DFT total energy = -523.9 eV/cell
symmetry = P2_1/c

Cell lengths 7.717, 8.586, 17.229 Å; angles 62.21, 90.00, 90.00 degrees
Fractional positions:
Li (0.468, 0.209, 0.060)
Li (0.539, 0.852, 0.407)
Li (0.340, 0.501, 0.754)
Li (0.840, 0.499, 0.746)
Li (0.039, 0.148, 0.093)
Li (0.968, 0.791, 0.440)
Li (0.032, 0.209, 0.560)
Li (0.961, 0.852, 0.907)
Li (0.160, 0.501, 0.254)
Li (0.660, 0.499, 0.246)
Li (0.461, 0.148, 0.593)
Li (0.532, 0.791, 0.940)
Ni (0.761, 0.874, 0.589)
Ni (0.730, 0.175, 0.229)
Ni (0.774, 0.457, 0.922)
Ni (0.274, 0.543, 0.578)
Ni (0.230, 0.825, 0.271)
Ni (0.261, 0.126, 0.911)
Ni (0.739, 0.874, 0.089)
Ni (0.770, 0.175, 0.729)
Ni (0.726, 0.457, 0.422)
Ni (0.226, 0.543, 0.078)
Ni (0.270, 0.825, 0.771)
Ni (0.239, 0.126, 0.411)
P (0.172, 0.865, 0.592)
P (0.324, 0.184, 0.224)
P (0.176, 0.457, 0.930)
P (0.676, 0.543, 0.570)
P (0.824, 0.816, 0.276)
P (0.672, 0.135, 0.908)
P (0.328, 0.865, 0.092)
P (0.176, 0.184, 0.724)
P (0.324, 0.457, 0.430)
P (0.824, 0.543, 0.070)
P (0.676, 0.816, 0.776)
P (0.828, 0.135, 0.408)
O (0.002, 0.075, 0.387)
O (0.859, 0.345, 0.128)
O (0.719, 0.966, 0.463)
O (0.769, 0.640, 0.798)
O (0.292, 0.419, 0.011)
O (0.499, 0.224, 0.174)
O (0.355, 0.074, 0.324)
O (0.268, 0.742, 0.679)
O (0.003, 0.356, 0.965)
O (0.144, 0.765, 0.536)
O (0.269, 0.382, 0.874)
O (0.207, 0.079, 0.192)
O (0.769, 0.618, 0.626)
O (0.707, 0.921, 0.308)
O (0.644, 0.235, 0.964)
O (0.503, 0.644, 0.535)
O (0.768, 0.258, 0.821)
O (0.855, 0.926, 0.176)
O (0.999, 0.776, 0.326)
O (0.269, 0.360, 0.702)
O (0.792, 0.581, 0.489)
O (0.219, 0.034, 0.037)
O (0.359, 0.655, 0.372)
O (0.502, 0.925, 0.113)
O (0.498, 0.075, 0.887)
O (0.641, 0.345, 0.628)
O (0.781, 0.966, 0.963)
O (0.208, 0.419, 0.511)
O (0.731, 0.640, 0.298)
O (0.001, 0.224, 0.674)
O (0.145, 0.074, 0.824)
O (0.232, 0.742, 0.179)
O (0.497, 0.356, 0.465)
O (0.356, 0.765, 0.036)
O (0.293, 0.079, 0.692)
O (0.231, 0.382, 0.374)
O (0.793, 0.921, 0.808)
O (0.731, 0.618, 0.126)
O (0.856, 0.235, 0.464)
O (0.997, 0.644, 0.035)
O (0.732, 0.258, 0.321)
O (0.645, 0.926, 0.676)
O (0.501, 0.776, 0.826)
O (0.708, 0.581, 0.989)
O (0.231, 0.360, 0.202)
O (0.281, 0.034, 0.537)
O (0.141, 0.655, 0.872)
O (0.998, 0.925, 0.613)

=====

Record 3
Below is LiNiP2O7 after structural relaxation, with properties calculated at the GGA+U level.

Properties
total energy after the MP2020 corrections = -156.4 eV/cell
ΔE to the lowest computed polymorph = 0.0215 eV per atom
DFT total energy = -141.7 eV/cell
symmetry = P-1

Cell lengths 6.435, 6.497, 6.560 Å; angles 66.65, 84.72, 81.62 degrees
Fractional positions:
Li (0.876, 0.297, 0.170)
Li (0.124, 0.703, 0.830)
Ni (0.347, 0.899, 0.216)
Ni (0.653, 0.101, 0.784)
P (0.385, 0.362, 0.328)
P (0.615, 0.638, 0.672)
P (0.860, 0.781, 0.239)
P (0.140, 0.219, 0.761)
O (0.336, 0.057, 0.870)
O (0.664, 0.943, 0.130)
O (0.938, 0.623, 0.119)
O (0.698, 0.791, 0.765)
O (0.400, 0.747, 0.568)
O (0.600, 0.253, 0.432)
O (0.026, 0.912, 0.266)
O (0.062, 0.377, 0.881)
O (0.389, 0.604, 0.163)
O (0.302, 0.209, 0.235)
O (0.781, 0.616, 0.480)
O (0.611, 0.396, 0.837)
O (0.219, 0.384, 0.520)
O (0.974, 0.088, 0.734)

=====

Record 4
Below is LiNiPO4 after structural relaxation, with properties calculated at the GGA+U level.

Properties
total energy after the MP2020 corrections = -98.1 eV/cell
ΔE to the lowest computed polymorph = 0.0557 eV per atom
DFT total energy = -87.5 eV/cell
symmetry = R-3

Cell lengths 4.844, 4.844, 8.326 Å; angles 73.09, 90.00, 60.00 degrees
Fractional positions:
Li (0.005, 0.990, 0.015)
Li (0.571, 0.859, 0.712)
Ni (0.126, 0.747, 0.379)
Ni (0.449, 0.101, 0.348)
P (0.863, 0.275, 0.588)
P (0.713, 0.574, 0.138)
O (0.926, 0.147, 0.779)
O (0.649, 0.702, 0.947)
O (0.543, 0.636, 0.520)
O (0.755, 0.826, 0.207)
O (0.821, 0.023, 0.520)
O (0.033, 0.213, 0.207)
O (0.419, 0.548, 0.207)
O (0.156, 0.301, 0.520)

=====

Record 5
Below is LiNi2P3O12 after structural relaxation, with properties calculated at the GGA+U level.

Properties
total energy after the MP2020 corrections = -498.8 eV/cell
ΔE to the lowest computed polymorph = 0.0000 eV per atom
DFT total energy = -445.5 eV/cell
symmetry = P2_1/c

Cell lengths 8.859, 8.564, 14.900 Å; angles 55.39, 90.00, 90.00 degrees
Fractional positions:
Li (0.281, 0.369, 0.314)
Li (0.719, 0.631, 0.686)
Li (0.781, 0.631, 0.186)
Li (0.219, 0.369, 0.814)
Ni (0.467, 0.637, 0.115)
Ni (0.033, 0.637, 0.615)
Ni (0.533, 0.363, 0.885)
Ni (0.977, 0.132, 0.118)
Ni (0.477, 0.868, 0.382)
Ni (0.523, 0.132, 0.618)
Ni (0.967, 0.363, 0.385)
Ni (0.023, 0.868, 0.882)
P (0.749, 0.533, 0.508)
P (0.109, 0.734, 0.149)
P (0.249, 0.467, 0.992)
P (0.885, 0.959, 0.648)
P (0.751, 0.533, 0.008)
P (0.251, 0.467, 0.492)
P (0.385, 0.041, 0.852)
P (0.391, 0.734, 0.649)
P (0.609, 0.266, 0.351)
P (0.615, 0.959, 0.148)
P (0.891, 0.266, 0.851)
P (0.115, 0.041, 0.352)
O (0.965, 0.004, 0.723)
O (0.183, 0.384, 0.432)
O (0.450, 0.760, 0.544)
O (0.465, 0.996, 0.777)
O (0.137, 0.327, 0.080)
O (0.671, 0.344, 0.596)
O (0.129, 0.515, 0.546)
O (0.737, 0.365, 0.816)
O (0.950, 0.240, 0.956)
O (0.568, 0.107, 0.028)
O (0.829, 0.344, 0.096)
O (0.637, 0.673, 0.420)
O (0.763, 0.365, 0.316)
O (0.863, 0.673, 0.920)
O (0.621, 0.056, 0.386)
O (0.683, 0.616, 0.068)
O (0.817, 0.616, 0.568)
O (0.035, 0.996, 0.277)
O (0.171, 0.656, 0.904)
O (0.121, 0.944, 0.114)
O (0.432, 0.893, 0.972)
O (0.989, 0.623, 0.239)
O (0.871, 0.485, 0.454)
O (0.288, 0.029, 0.341)
O (0.788, 0.971, 0.159)
O (0.011, 0.377, 0.761)
O (0.489, 0.377, 0.261)
O (0.919, 0.758, 0.679)
O (0.237, 0.635, 0.684)
O (0.879, 0.056, 0.886)
O (0.511, 0.623, 0.739)
O (0.317, 0.384, 0.932)
O (0.050, 0.760, 0.044)
O (0.550, 0.240, 0.456)
O (0.371, 0.515, 0.046)
O (0.263, 0.635, 0.184)
O (0.363, 0.327, 0.580)
O (0.629, 0.485, 0.954)
O (0.212, 0.029, 0.841)
O (0.329, 0.656, 0.404)
O (0.535, 0.004, 0.223)
O (0.932, 0.107, 0.528)
O (0.379, 0.944, 0.614)
O (0.712, 0.971, 0.659)
O (0.081, 0.242, 0.321)
O (0.581, 0.758, 0.179)
O (0.068, 0.893, 0.472)
O (0.419, 0.242, 0.821)

=====

Record 6
Below is LiNiPO4 after structural relaxation, with properties calculated at the GGA+U level.

Properties
total energy after the MP2020 corrections = -195.0 eV/cell
ΔE to the lowest computed polymorph = 0.0986 eV per atom
DFT total energy = -173.9 eV/cell
symmetry = P2_1/c

Cell lengths 8.117, 5.006, 10.356 Å; angles 61.98, 90.00, 90.00 degrees
Fractional positions:
Li (0.045, 0.054, 0.622)
Li (0.545, 0.946, 0.878)
Li (0.455, 0.054, 0.122)
Li (0.955, 0.946, 0.378)
Ni (0.328, 0.331, 0.416)
Ni (0.828, 0.669, 0.084)
Ni (0.172, 0.331, 0.916)
Ni (0.672, 0.669, 0.584)
P (0.252, 0.680, 0.075)
P (0.752, 0.320, 0.425)
P (0.248, 0.680, 0.575)
P (0.748, 0.320, 0.925)
O (0.187, 0.411, 0.552)
O (0.323, 0.984, 0.948)
O (0.323, 0.667, 0.217)
O (0.564, 0.307, 0.429)
O (0.064, 0.693, 0.071)
O (0.823, 0.333, 0.283)
O (0.823, 0.016, 0.552)
O (0.687, 0.589, 0.948)
O (0.313, 0.411, 0.052)
O (0.177, 0.984, 0.448)
O (0.177, 0.667, 0.717)
O (0.936, 0.307, 0.929)
O (0.436, 0.693, 0.571)
O (0.677, 0.333, 0.783)
O (0.677, 0.016, 0.052)
O (0.813, 0.589, 0.448)

=====

Record 7
Below is LiNiPO4 after structural relaxation, with properties calculated at the GGA+U level.

Properties
total energy after the MP2020 corrections = -390.2 eV/cell
ΔE to the lowest computed polymorph = 0.0967 eV per atom
DFT total energy = -347.9 eV/cell
symmetry = Pna2_1

Cell lengths 4.945, 8.141, 17.975 Å; angles 90.00, 90.00, 90.00 degrees
Fractional positions:
Li (0.472, 0.627, 0.261)
Li (0.568, 0.586, 0.056)
Li (0.068, 0.914, 0.556)
Li (0.972, 0.873, 0.761)
Li (0.472, 0.127, 0.239)
Li (0.568, 0.086, 0.444)
Li (0.068, 0.414, 0.944)
Li (0.972, 0.373, 0.739)
Ni (0.968, 0.511, 0.432)
Ni (0.473, 0.651, 0.846)
Ni (0.973, 0.849, 0.346)
Ni (0.468, 0.989, 0.932)
Ni (0.968, 0.011, 0.068)
Ni (0.473, 0.151, 0.654)
Ni (0.973, 0.349, 0.154)
Ni (0.468, 0.489, 0.568)
P (0.938, 0.700, 0.182)
P (0.437, 0.735, 0.431)
P (0.937, 0.765, 0.931)
P (0.438, 0.800, 0.682)
P (0.938, 0.200, 0.318)
P (0.437, 0.235, 0.069)
P (0.937, 0.265, 0.569)
P (0.438, 0.300, 0.818)
O (0.775, 0.553, 0.147)
O (0.327, 0.580, 0.474)
O (0.841, 0.607, 0.968)
O (0.360, 0.643, 0.640)
O (0.238, 0.657, 0.180)
O (0.754, 0.723, 0.428)
O (0.828, 0.719, 0.263)
O (0.813, 0.783, 0.852)
O (0.313, 0.717, 0.352)
O (0.328, 0.781, 0.763)
O (0.254, 0.777, 0.928)
O (0.738, 0.843, 0.680)
O (0.860, 0.857, 0.140)
O (0.341, 0.893, 0.468)
O (0.827, 0.920, 0.974)
O (0.275, 0.947, 0.647)
O (0.775, 0.053, 0.353)
O (0.327, 0.080, 0.026)
O (0.841, 0.107, 0.532)
O (0.360, 0.143, 0.860)
O (0.238, 0.157, 0.320)
O (0.754, 0.223, 0.072)
O (0.828, 0.219, 0.237)
O (0.813, 0.283, 0.648)
O (0.313, 0.217, 0.148)
O (0.328, 0.281, 0.737)
O (0.254, 0.277, 0.572)
O (0.738, 0.343, 0.820)
O (0.860, 0.357, 0.360)
O (0.341, 0.393, 0.032)
O (0.827, 0.420, 0.526)
O (0.275, 0.447, 0.853)

=====

Record 8
Below is LiNiP2O7 after structural relaxation, with properties calculated at the GGA+U level.

Properties
total energy after the MP2020 corrections = -156.0 eV/cell
ΔE to the lowest computed polymorph = 0.0394 eV per atom
DFT total energy = -141.3 eV/cell
symmetry = P-1

Cell lengths 6.178, 6.981, 7.161 Å; angles 75.05, 65.04, 79.15 degrees
Fractional positions:
Li (0.925, 0.330, 0.166)
Li (0.075, 0.670, 0.834)
Ni (0.680, 0.170, 0.897)
Ni (0.320, 0.830, 0.103)
P (0.225, 0.195, 0.759)
P (0.367, 0.363, 0.302)
P (0.633, 0.637, 0.698)
P (0.775, 0.805, 0.241)
O (0.967, 0.930, 0.218)
O (0.397, 0.078, 0.865)
O (0.403, 0.245, 0.514)
O (0.166, 0.277, 0.287)
O (0.118, 0.385, 0.845)
O (0.613, 0.322, 0.129)
O (0.695, 0.418, 0.680)
O (0.305, 0.582, 0.320)
O (0.387, 0.678, 0.871)
O (0.882, 0.615, 0.155)
O (0.834, 0.723, 0.713)
O (0.597, 0.755, 0.486)
O (0.603, 0.922, 0.135)
O (0.033, 0.070, 0.782)

=====

Record 9
Below is Li5Ni2P3O12 after structural relaxation, with properties calculated at the GGA+U level.

Properties
total energy after the MP2020 corrections = -301.3 eV/cell
ΔE to the lowest computed polymorph = 0.0067 eV per atom
DFT total energy = -274.6 eV/cell
symmetry = P-1

Cell lengths 8.319, 8.359, 9.175 Å; angles 63.42, 63.34, 60.19 degrees
Fractional positions:
Li (0.272, 0.927, 0.133)
Li (0.923, 0.687, 0.112)
Li (0.693, 0.275, 0.102)
Li (0.900, 0.462, 0.420)
Li (0.484, 0.214, 0.409)
Li (0.516, 0.786, 0.591)
Li (0.100, 0.538, 0.580)
Li (0.307, 0.725, 0.898)
Li (0.077, 0.313, 0.888)
Li (0.728, 0.073, 0.867)
Ni (0.654, 0.654, 0.043)
Ni (0.143, 0.127, 0.576)
Ni (0.857, 0.873, 0.424)
Ni (0.346, 0.346, 0.957)
P (0.955, 0.255, 0.248)
P (0.547, 0.958, 0.243)
P (0.254, 0.545, 0.243)
P (0.746, 0.455, 0.757)
P (0.453, 0.042, 0.757)
P (0.045, 0.745, 0.752)
O (0.144, 0.206, 0.098)
O (0.835, 0.475, 0.205)
O (0.499, 0.837, 0.194)
O (0.548, 0.152, 0.098)
O (0.200, 0.544, 0.101)
O (0.999, 0.201, 0.412)
O (0.754, 0.845, 0.267)
O (0.406, 0.000, 0.413)
O (0.475, 0.484, 0.199)
O (0.139, 0.748, 0.266)
O (0.193, 0.398, 0.416)
O (0.837, 0.146, 0.268)
O (0.163, 0.854, 0.732)
O (0.807, 0.602, 0.584)
O (0.861, 0.252, 0.734)
O (0.525, 0.516, 0.801)
O (0.594, 0.000, 0.587)
O (0.246, 0.155, 0.733)
O (0.001, 0.799, 0.588)
O (0.800, 0.456, 0.899)
O (0.452, 0.848, 0.902)
O (0.501, 0.163, 0.806)
O (0.165, 0.525, 0.795)
O (0.856, 0.794, 0.902)